The following is a DFT calculation (GGA-PBE) of a relaxed structure of Na3ZnGaP2SO12.

Cell: 8.883 8.835 22.180 Å, 90.30 90.00 120.18°
Sites, in units of the cell vectors:
Na: 0.362 0.360 0.248
Na: 0.999 0.631 0.248
Na: 0.632 0.631 0.748
Na: 0.998 0.360 0.748
Na: 0.029 0.694 0.582
Na: 0.665 0.964 0.582
Na: 0.299 0.964 0.082
Na: 0.665 0.694 0.082
Na: 0.696 0.027 0.915
Na: 0.332 0.297 0.915
Na: 0.965 0.297 0.415
Na: 0.331 0.027 0.415
Na: 0.992 0.994 0.499
Na: 0.002 0.994 0.999
Na: 0.659 0.328 0.832
Na: 0.669 0.328 0.332
Na: 0.326 0.661 0.165
Na: 0.335 0.661 0.665
Zn: 0.992 0.995 0.350
Zn: 0.003 0.995 0.850
Zn: 0.659 0.328 0.683
Zn: 0.669 0.328 0.183
Zn: 0.326 0.662 0.016
Zn: 0.336 0.662 0.516
Ga: 0.994 0.013 0.651
Ga: 0.019 0.013 0.151
Ga: 0.661 0.347 0.984
Ga: 0.685 0.347 0.484
Ga: 0.328 0.680 0.317
Ga: 0.352 0.680 0.817
P: 0.295 0.001 0.251
P: 0.999 0.290 0.251
P: 0.292 0.290 0.751
P: 0.706 0.001 0.751
P: 0.962 0.334 0.585
P: 0.666 0.624 0.585
P: 0.958 0.624 0.085
P: 0.373 0.334 0.085
P: 0.628 0.667 0.918
P: 0.332 0.957 0.918
P: 0.625 0.957 0.418
P: 0.039 0.667 0.418
S: 0.706 0.711 0.250
S: 0.005 0.711 0.750
S: 0.373 0.045 0.583
S: 0.672 0.045 0.083
S: 0.039 0.378 0.916
S: 0.339 0.378 0.416
O: 0.214 0.033 0.307
O: 0.818 0.787 0.303
O: 0.972 0.184 0.308
O: 0.212 0.184 0.808
O: 0.970 0.787 0.803
O: 0.820 0.033 0.807
O: 0.784 0.959 0.694
O: 0.171 0.207 0.695
O: 0.034 0.818 0.694
O: 0.784 0.818 0.194
O: 0.037 0.207 0.195
O: 0.175 0.959 0.194
O: 0.880 0.367 0.640
O: 0.484 0.121 0.636
O: 0.639 0.518 0.642
O: 0.879 0.518 0.142
O: 0.636 0.121 0.136
O: 0.486 0.367 0.140
O: 0.451 0.292 0.027
O: 0.837 0.541 0.028
O: 0.701 0.151 0.028
O: 0.450 0.151 0.528
O: 0.703 0.541 0.528
O: 0.841 0.292 0.527
O: 0.547 0.700 0.974
O: 0.151 0.454 0.970
O: 0.305 0.851 0.975
O: 0.545 0.851 0.475
O: 0.303 0.454 0.470
O: 0.153 0.700 0.474
O: 0.118 0.626 0.361
O: 0.504 0.874 0.362
O: 0.367 0.484 0.361
O: 0.117 0.484 0.861
O: 0.370 0.874 0.862
O: 0.508 0.626 0.861
O: 0.026 0.833 0.410
O: 0.810 0.988 0.411
O: 0.181 0.200 0.411
O: 0.019 0.200 0.911
O: 0.178 0.988 0.911
O: 0.806 0.833 0.910
O: 0.971 0.161 0.589
O: 0.194 0.021 0.590
O: 0.840 0.811 0.590
O: 0.971 0.811 0.090
O: 0.827 0.021 0.090
O: 0.190 0.161 0.089
O: 0.693 0.166 0.743
O: 0.477 0.321 0.744
O: 0.848 0.534 0.744
O: 0.686 0.534 0.244
O: 0.844 0.321 0.244
O: 0.473 0.166 0.243
O: 0.638 0.495 0.923
O: 0.861 0.354 0.923
O: 0.507 0.145 0.923
O: 0.638 0.145 0.423
O: 0.493 0.354 0.423
O: 0.857 0.495 0.423
O: 0.360 0.500 0.077
O: 0.143 0.654 0.078
O: 0.514 0.867 0.078
O: 0.353 0.867 0.578
O: 0.511 0.654 0.578
O: 0.140 0.500 0.577
O: 0.304 0.828 0.256
O: 0.528 0.688 0.256
O: 0.173 0.478 0.257
O: 0.305 0.478 0.757
O: 0.160 0.688 0.756
O: 0.524 0.828 0.756

Calculated values
total DFT energy (no corrections) = -725.9 eV/cell
formation energy = -2331 meV/atom